DFT (PBE) results for a relaxed SrZn2As2O8 crystal.

Cell lengths 8.7440, 9.9081, 9.4406 Å; angles 90.00, 91.82, 90.00 degrees
With the nearest neighbours (Å) after each atom.
Positions (direct):
Sr  0.2500  0.0832  0.1151  7 O 2.58-2.79
Sr  0.2500  0.4168  0.6151  7 O 2.58-2.79
Sr  0.7500  0.5832  0.3849  7 O 2.58-2.79
Sr  0.7500  0.9168  0.8849  7 O 2.58-2.79
Zn  0.0776  0.6861  0.0496  4 O 1.94-2.00
Zn  0.0776  0.8139  0.5496  4 O 1.94-2.00
Zn  0.4260  0.0736  0.7207  4 O 1.96-2.02
Zn  0.4260  0.4264  0.2207  4 O 1.96-2.02
Zn  0.5740  0.5736  0.7793  4 O 1.96-2.02
Zn  0.5740  0.9264  0.2793  4 O 1.96-2.02
Zn  0.9224  0.1861  0.4504  4 O 1.94-2.00
Zn  0.9224  0.3139  0.9504  4 O 1.94-2.00
As  0.0584  0.0835  0.7496  4 O 1.72-1.73
As  0.0584  0.4165  0.2496  4 O 1.72-1.73
As  0.4508  0.7041  0.0629  4 O 1.71-1.73
As  0.4508  0.7959  0.5629  4 O 1.71-1.73
As  0.5492  0.2041  0.4371  4 O 1.71-1.73
As  0.5492  0.2959  0.9371  4 O 1.71-1.73
As  0.9416  0.5835  0.7504  4 O 1.72-1.73
As  0.9416  0.9165  0.2504  4 O 1.72-1.73
O  0.0203  0.0651  0.3124  1 As 1.72
O  0.0203  0.4349  0.8124  1 As 1.72
O  0.0646  0.6248  0.6173  1 As 1.73
O  0.0646  0.8752  0.1173  1 As 1.73
O  0.0688  0.2016  0.6170  1 As 1.72
O  0.0688  0.2984  0.1170  1 As 1.72
O  0.2367  0.0691  0.8326  1 As 1.73
O  0.2367  0.4309  0.3326  1 As 1.73
O  0.2834  0.6332  0.0008  1 As 1.71
O  0.2834  0.8668  0.5008  1 As 1.71
O  0.4157  0.2070  0.5679  1 As 1.73
O  0.4157  0.2930  0.0679  1 As 1.73
O  0.4303  0.6315  0.6196  1 As 1.73
O  0.4303  0.8685  0.1196  1 As 1.73
O  0.4742  0.1028  0.3024  1 As 1.73
O  0.4742  0.3972  0.8024  1 As 1.73
O  0.5258  0.6028  0.1976  1 As 1.73
O  0.5258  0.8972  0.6976  1 As 1.73
O  0.5697  0.1315  0.8804  1 As 1.73
O  0.5697  0.3685  0.3804  1 As 1.73
O  0.5843  0.7070  0.9321  1 As 1.73
O  0.5843  0.7930  0.4321  1 As 1.73
O  0.7166  0.1332  0.4992  1 As 1.71
O  0.7166  0.3668  0.9992  1 As 1.71
O  0.7633  0.5691  0.6674  1 As 1.73
O  0.7633  0.9309  0.1674  1 As 1.73
O  0.9312  0.7016  0.8830  1 As 1.72
O  0.9312  0.7984  0.3830  1 As 1.72
O  0.9354  0.1248  0.8827  1 As 1.73
O  0.9354  0.3752  0.3827  1 As 1.73
O  0.9797  0.5651  0.1876  1 As 1.72
O  0.9797  0.9349  0.6876  1 As 1.72

Values from the calculation:
**Density**: 4.03 g/cm3
**Energy of formation**: -27.7 eV/f.u.